Na5CrO4: optimized geometry, PBE+U.

volume = 1165 Å³/cell
calculated formation energy = -1.6753 eV per atom
magnetic moment = 3.00 μB per formula unit
E above lowest polymorph = 0.0046 eV/atom
symmetry = No. 61

Unit cell a=6.0222 b=10.7702 c=17.9689 alpha=90.00 beta=90.00 gamma=90.00
With the nearest neighbours (Å) after each atom.
Atoms (fractional coordinates):
Na: 0.5943 0.6952 0.6389  5 O 2.41-2.70
Na: 0.1068 0.6769 0.3269  4 O 2.30-2.44
Na: 0.9171 0.4280 0.0636  3 O 2.24-2.38
Na: 0.4031 0.9259 0.7525  4 O 2.42-2.48
Na: 0.0943 0.8048 0.6389  5 O 2.41-2.70
Na: 0.5969 0.0741 0.2475  4 O 2.42-2.48
Na: 0.4171 0.5720 0.4364  3 O 2.24-2.38
Na: 0.0969 0.9259 0.2525  4 O 2.42-2.48
Na: 0.4185 0.8382 0.5016  4 O 2.34-2.58
Na: 0.4185 0.3382 0.9984  4 O 2.34-2.58
Na: 0.4057 0.3048 0.3611  5 O 2.41-2.70
Na: 0.0969 0.4259 0.2475  4 O 2.42-2.48
Na: 0.4171 0.0720 0.0636  3 O 2.24-2.38
Na: 0.9185 0.6618 0.5016  4 O 2.34-2.58
Na: 0.5829 0.9280 0.9364  3 O 2.24-2.38
Na: 0.0815 0.8382 0.0016  4 O 2.34-2.58
Na: 0.1068 0.1769 0.1731  4 O 2.30-2.44
Na: 0.5943 0.1952 0.8611  5 O 2.41-2.70
Na: 0.0829 0.5720 0.9364  3 O 2.24-2.38
Na: 0.5815 0.6618 0.0016  4 O 2.34-2.58
Na: 0.3932 0.6769 0.8269  4 O 2.30-2.44
Na: 0.0943 0.3048 0.8611  5 O 2.41-2.70
Na: 0.4057 0.8048 0.1389  5 O 2.41-2.70
Na: 0.9057 0.6952 0.1389  5 O 2.41-2.70
Na: 0.9031 0.5741 0.7525  4 O 2.42-2.48
Na: 0.5815 0.1618 0.4984  4 O 2.34-2.58
Na: 0.0815 0.3382 0.4984  4 O 2.34-2.58
Na: 0.9031 0.0741 0.7475  4 O 2.42-2.48
Na: 0.4031 0.4259 0.7475  4 O 2.42-2.48
Na: 0.8932 0.8231 0.8269  4 O 2.30-2.44
Na: 0.6068 0.3231 0.1731  4 O 2.30-2.44
Na: 0.8932 0.3231 0.6731  4 O 2.30-2.44
Na: 0.6068 0.8231 0.3269  4 O 2.30-2.44
Na: 0.5829 0.4280 0.5636  3 O 2.24-2.38
Na: 0.5969 0.5741 0.2525  4 O 2.42-2.48
Na: 0.9185 0.1618 0.9984  4 O 2.34-2.58
Na: 0.0829 0.0720 0.5636  3 O 2.24-2.38
Na: 0.9171 0.9280 0.4364  3 O 2.24-2.38
Na: 0.3932 0.1769 0.6731  4 O 2.30-2.44
Na: 0.9057 0.1952 0.3611  5 O 2.41-2.70
O: 0.1901 0.6450 0.0488  1 Cr 1.91
O: 0.2505 0.3637 0.6246  1 Cr 1.95
O: 0.2295 0.6306 0.2089  1 Cr 1.93
O: 0.7705 0.3694 0.7911  1 Cr 1.93
O: 0.8099 0.3550 0.9512  1 Cr 1.91
O: 0.7495 0.1363 0.1246  1 Cr 1.95
O: 0.2705 0.6306 0.7089  1 Cr 1.93
O: 0.2495 0.8637 0.3754  1 Cr 1.95
O: 0.7505 0.1363 0.6246  1 Cr 1.95
O: 0.7295 0.3694 0.2911  1 Cr 1.93
O: 0.8099 0.8550 0.5488  1 Cr 1.91
O: 0.3598 0.9696 0.6202  1 Cr 1.91
O: 0.3099 0.6450 0.5488  1 Cr 1.91
O: 0.3099 0.1450 0.9512  1 Cr 1.91
O: 0.7495 0.6363 0.3754  1 Cr 1.95
O: 0.6402 0.5304 0.1202  1 Cr 1.91
O: 0.7705 0.8694 0.7089  1 Cr 1.93
O: 0.6402 0.0304 0.3798  1 Cr 1.91
O: 0.8598 0.5304 0.6202  1 Cr 1.91
O: 0.2295 0.1306 0.2911  1 Cr 1.93
O: 0.1402 0.9696 0.1202  1 Cr 1.91
O: 0.1402 0.4696 0.3798  1 Cr 1.91
O: 0.1901 0.1450 0.4512  1 Cr 1.91
O: 0.7505 0.6363 0.8754  1 Cr 1.95
O: 0.7295 0.8694 0.2089  1 Cr 1.93
O: 0.2505 0.8637 0.8754  1 Cr 1.95
O: 0.6901 0.8550 0.0488  1 Cr 1.91
O: 0.3598 0.4696 0.8798  1 Cr 1.91
O: 0.2495 0.3637 0.1246  1 Cr 1.95
O: 0.2705 0.1306 0.7911  1 Cr 1.93
O: 0.8598 0.0304 0.8798  1 Cr 1.91
O: 0.6901 0.3550 0.4512  1 Cr 1.91
Cr: 0.8241 0.9598 0.1220  4 O 1.91-1.95
Cr: 0.3241 0.0402 0.3780  4 O 1.91-1.95
Cr: 0.1759 0.5402 0.6220  4 O 1.91-1.95
Cr: 0.6759 0.9598 0.6220  4 O 1.91-1.95
Cr: 0.1759 0.0402 0.8780  4 O 1.91-1.95
Cr: 0.3241 0.5402 0.1220  4 O 1.91-1.95
Cr: 0.8241 0.4598 0.3780  4 O 1.91-1.95
Cr: 0.6759 0.4598 0.8780  4 O 1.91-1.95

---

Li3Fe4B4O12: optimized geometry, PBE+U.

volume = 486 Å³/cell
calculated formation energy = -2.3042 eV per atom
magnetic moment = 17.00 μB per formula unit
E above lowest polymorph = 0.0011 eV/atom
symmetry = No. 1

Unit cell a=5.2236 b=5.2478 c=20.4160 alpha=90.63 beta=90.81 gamma=119.67
With the nearest neighbours (Å) after each atom.
Atoms (fractional coordinates):
O: 0.5863 0.9733 0.8314  1 B 1.39
O: 0.4187 0.0311 0.1675  1 B 1.43
O: 0.3987 0.9844 0.6715  1 B 1.39
O: 0.9727 0.5789 0.5870  1 B 1.41
O: 0.3603 0.2693 0.3059  1 B 1.38
O: 0.0196 0.6002 0.0831  1 B 1.39
O: 0.7371 0.6568 0.9309  1 B 1.38
O: 0.9281 0.2580 0.2051  1 B 1.39
O: 0.2540 0.9233 0.9627  1 B 1.40
O: 0.7030 0.7643 0.6797  1 B 1.38
O: 0.0282 0.4201 0.4237  1 B 1.40
O: 0.7318 0.6512 0.4323  1 B 1.39
O: 0.0285 0.4204 0.9232  1 B 1.40
O: 0.2523 0.9295 0.4595  1 B 1.40
O: 0.7269 0.1016 0.0449  1 B 1.39
O: 0.0773 0.7451 0.7925  1 B 1.42
O: 0.2699 0.3622 0.5566  1 B 1.39
O: 0.0760 0.7418 0.2974  1 B 1.40
O: 0.6414 0.7329 0.1909  1 B 1.37
O: 0.9006 0.2723 0.7098  1 B 1.38
O: 0.3543 0.2652 0.8159  1 B 1.36
O: 0.5872 0.9792 0.3335  1 B 1.41
O: 0.7407 0.0717 0.5497  1 B 1.39
O: 0.2495 0.3118 0.0583  1 B 1.38
B: 0.0003 0.3373 0.0632  3 O 1.38-1.39
B: 0.6690 0.0066 0.6877  3 O 1.38-1.39
B: 0.0050 0.6680 0.4386  3 O 1.39-1.40
B: 0.9952 0.3366 0.5647  3 O 1.39-1.41
B: 0.6668 0.0043 0.1878  3 O 1.37-1.43
B: 0.3394 0.9980 0.3128  3 O 1.38-1.41
B: 0.3427 0.0002 0.8134  3 O 1.36-1.42
B: 0.0047 0.6667 0.9395  3 O 1.38-1.40
Fe: 0.6748 0.0009 0.4417  5 O 2.01-2.24
Fe: 0.6796 0.0054 0.9406  4 O 2.00-2.17
Fe: 0.3158 0.0060 0.5667  5 O 2.01-2.21
Fe: 0.0076 0.3191 0.8137  4 O 1.97-2.16
Fe: 0.3294 0.9953 0.0672  4 O 1.91-2.08
Fe: 0.9883 0.6744 0.1881  4 O 1.98-2.20
Fe: 0.0101 0.6726 0.6925  4 O 1.91-2.06
Fe: 0.9919 0.3199 0.3150  5 O 2.03-2.26
Li: 0.6742 0.6508 0.8312  4 O 1.90-2.08
Li: 0.6493 0.6750 0.5841  4 O 1.91-2.03
Li: 0.3414 0.3495 0.9586  4 O 1.98-2.09
Li: 0.3421 0.3361 0.2049  4 O 1.91-2.10
Li: 0.6769 0.6537 0.3301  4 O 1.92-2.10
Li: 0.3340 0.3457 0.4566  4 O 1.94-2.08

---

Li9Mn21O40: optimized geometry, PBE+U.

volume = 689 Å³/cell
calculated formation energy = -1.9721 eV per atom
magnetic moment = 76.00 μB per formula unit
E above lowest polymorph = 0.0891 eV/atom
symmetry = No. 82

Unit cell a=10.0405 b=10.0405 c=10.0405 alpha=99.60 beta=99.60 gamma=131.79
With the nearest neighbours (Å) after each atom.
Atoms (fractional coordinates):
O: 0.6986 0.5427 0.4649  3 Mn 1.93-1.95, 1 Li 1.95
O: 0.5720 0.7168 0.5655  3 Mn 1.95, 1 Li 1.96
O: 0.1723 0.5174 0.9658  3 Mn 1.94-1.95, 1 Li 1.96
O: 0.5681 0.7023 0.0447  3 Mn 1.93-1.95, 1 Li 1.97
O: 0.8991 0.1438 0.2662  3 Mn 1.95, 1 Li 1.97
O: 0.8776 0.6329 0.7338  3 Mn 1.95, 1 Li 1.97
O: 0.2562 0.3223 0.3553  3 Mn 1.95, 1 Li 1.97
O: 0.7935 0.8277 0.3451  3 Mn 1.94-1.95, 1 Li 1.96
O: 0.1671 0.5020 0.4457  3 Mn 1.93-1.95, 1 Li 1.96
O: 0.9935 0.4280 0.1448  3 Mn 1.95, 1 Li 1.96
O: 0.4980 0.9437 0.6651  3 Mn 1.93-1.95, 1 Li 1.96
O: 0.9511 0.4064 0.6341  3 Mn 1.94-1.95, 1 Li 1.96
O: 0.6830 0.0489 0.4553  3 Mn 1.94-1.95, 1 Li 1.96
O: 0.3512 0.6069 0.2344  3 Mn 1.94-1.95, 1 Li 1.96
O: 0.4765 0.4319 0.1341  3 Mn 1.93-1.95, 1 Li 1.97
O: 0.7663 0.3014 0.8441  3 Mn 1.93-1.95, 1 Li 1.95
O: 0.5936 0.2277 0.5447  3 Mn 1.94-1.95, 1 Li 1.96
O: 0.5515 0.2065 0.0342  3 Mn 1.94-1.95, 1 Li 1.96
O: 0.0827 0.2485 0.0552  4 Mn 1.96-1.98
O: 0.0992 0.7438 0.0661  3 Mn 1.95, 1 Li 1.97
O: 0.2786 0.8329 0.3349  3 Mn 1.93-1.95, 1 Li 1.96
O: 0.1933 0.0275 0.9448  4 Mn 1.96-1.98
O: 0.8562 0.1224 0.7552  3 Mn 1.95, 1 Li 1.97
O: 0.9725 0.9173 0.1658  4 Mn 1.96-1.98
O: 0.2977 0.3424 0.8659  3 Mn 1.93-1.95, 1 Li 1.97
O: 0.7515 0.8067 0.8342  4 Mn 1.96-1.98
O: 0.0563 0.7214 0.5543  3 Mn 1.93-1.95, 1 Li 1.96
O: 0.3931 0.6275 0.7444  3 Mn 1.94-1.95, 1 Li 1.96
O: 0.8831 0.6488 0.2556  3 Mn 1.94-1.95, 1 Li 1.96
O: 0.3671 0.1009 0.2448  3 Mn 1.95, 1 Li 1.97
O: 0.2832 0.8487 0.8552  3 Mn 1.95, 1 Li 1.96
O: 0.4826 0.4485 0.6549  3 Mn 1.94-1.95, 1 Li 1.96
O: 0.6576 0.5235 0.9553  3 Mn 1.93-1.95, 1 Li 1.97
O: 0.0778 0.2337 0.5351  3 Mn 1.93-1.95, 1 Li 1.95
O: 0.6777 0.0330 0.9339  3 Mn 1.95, 1 Li 1.97
O: 0.9670 0.9008 0.6447  3 Mn 1.95, 1 Li 1.97
O: 0.1513 0.0065 0.4345  3 Mn 1.95, 1 Li 1.96
O: 0.3725 0.1169 0.7656  3 Mn 1.94-1.95, 1 Li 1.96
O: 0.4573 0.9222 0.1559  3 Mn 1.93-1.95, 1 Li 1.95
O: 0.7723 0.3170 0.3659  3 Mn 1.94-1.95, 1 Li 1.96
Mn: 0.4287 0.2778 0.9497  6 O 1.93-1.98
Mn: 0.7222 0.6719 0.1510  6 O 1.93-1.98
Mn: 0.6222 0.8750 0.7480  6 O 1.93-1.98
Mn: 0.3277 0.9744 0.0512  6 O 1.93-1.98
Mn: 0.9247 0.2750 0.4501  6 O 1.94-1.95
Mn: 0.7250 0.1751 0.6497  6 O 1.94-1.95
Mn: 0.0256 0.0768 0.3532  6 O 1.93-1.98
Mn: 0.3281 0.4790 0.0503  6 O 1.93-1.98
Mn: 0.2249 0.6748 0.1500  6 O 1.94-1.95
Mn: 0.5210 0.5713 0.8490  6 O 1.93-1.98
Mn: 0.9232 0.2765 0.9488  6 O 1.93-1.98
Mn: 0.0000 0.0000 0.0000  4 O 1.96
Mn: 0.8249 0.4746 0.5499  6 O 1.94-1.95
Mn: 0.5248 0.0748 0.8500  6 O 1.94-1.95
Mn: 0.9252 0.7751 0.4500  6 O 1.94-1.95
Mn: 0.1270 0.8742 0.2520  6 O 1.93-1.98
Mn: 0.1250 0.8730 0.7472  6 O 1.93-1.98
Mn: 0.3252 0.4752 0.5500  6 O 1.94-1.95
Mn: 0.5254 0.0753 0.3503  6 O 1.94-1.95
Mn: 0.7235 0.6723 0.6468  6 O 1.93-1.98
Mn: 0.1258 0.3778 0.2528  6 O 1.93-1.98
Li: 0.2500 0.7500 0.5000  4 O 1.96
Li: 0.4001 0.1999 0.6000  4 O 1.96
Li: 0.0496 0.1500 0.6989  4 O 1.95-1.97
Li: 0.8001 0.4001 0.2001  4 O 1.96
Li: 0.5999 0.8001 0.4000  4 O 1.96
Li: 0.1999 0.5999 0.7999  4 O 1.96
Li: 0.4511 0.3507 0.3011  4 O 1.95-1.97
Li: 0.6493 0.9504 0.1004  4 O 1.95-1.97
Li: 0.8500 0.5489 0.8996  4 O 1.95-1.97

---

NaSmV4O12: optimized geometry, PBE+U.

volume = 212 Å³/cell
calculated formation energy = -2.4395 eV per atom
magnetic moment = 0.00 μB per formula unit
symmetry = No. 123

Unit cell a=5.3070 b=5.3070 c=7.5147 alpha=90.00 beta=90.00 gamma=90.00
With the nearest neighbours (Å) after each atom.
Atoms (fractional coordinates):
O: 0.2446 0.7554 0.7562  2 V 1.88
O: 0.7554 0.2446 0.7562  2 V 1.88
O: 0.0000 0.5000 0.5000  2 V 1.84
O: 0.5000 0.0000 0.5000  2 V 1.84
O: 0.2446 0.7554 0.2438  2 V 1.88
O: 0.7554 0.7554 0.2438  2 V 1.88
O: 0.7554 0.2446 0.2438  2 V 1.88
O: 0.2446 0.2446 0.7562  2 V 1.88
O: 0.2446 0.2446 0.2438  2 V 1.88
O: 0.5000 0.0000 0.0000  2 V 1.92
O: 0.0000 0.5000 0.0000  2 V 1.92
O: 0.7554 0.7554 0.7562  2 V 1.88
Na: 0.5000 0.5000 0.5000  12 O 2.65-2.72
V: 0.5000 0.0000 0.2552  6 O 1.84-1.92
V: 0.0000 0.5000 0.7448  6 O 1.84-1.92
V: 0.0000 0.5000 0.2552  6 O 1.84-1.92
V: 0.5000 0.0000 0.7448  6 O 1.84-1.92
Sm: 0.0000 0.0000 0.0000  12 O 2.59-2.65

---

Which of these has the highest calculated formation energy? Na5CrO4

---

Which formula does entry 4 have? NaSmV4O12

---

Among the records above, which one has the highest volume? Na5CrO4